1.
ThFe2Ge2 | PBE | relaxed

Output
For the energy relative to the elements, the calculation gives -47 kJ per mole of atoms. As for the total energy: -7.207 eV/atom. For the density, the calculation gives 9.660 Mg/m³.

Unit cell a=5.7285 b=5.7285 c=5.7285 alpha=137.74 beta=137.74 gamma=61.30
Closest atoms and distances in Å follow each position.
Atoms (fractional coordinates):
Ge  0.6361  0.6361  0.0000  4 Fe 2.35
Ge  0.3639  0.3639  0.0000  4 Fe 2.35
Th  0.0000  0.0000  0.0000  10 Ge 3.21-3.59, 8 Fe 3.21
Fe  0.2500  0.7500  0.5000  4 Ge 2.35
Fe  0.7500  0.2500  0.5000  4 Ge 2.35


2.
LuBi2ClO4 | PBE | relaxed

Output
For the energy relative to the elements, the calculation gives -232 kJ per mole of atoms. As for the total energy: -6.305 eV/atom. For the density, the calculation gives 8.572 Mg/m³.

Unit cell a=3.8572 b=3.8572 c=9.0152 alpha=90.00 beta=90.00 gamma=90.00
Closest atoms and distances in Å follow each position.
Atoms (fractional coordinates):
O  0.0000  0.5000  0.1484  2 Bi 2.24, 2 Lu 2.35
O  0.5000  0.0000  0.8516  2 Bi 2.24, 2 Lu 2.35
O  0.5000  0.0000  0.1484  2 Bi 2.24, 2 Lu 2.35
O  0.0000  0.5000  0.8516  2 Bi 2.24, 2 Lu 2.35
Bi  0.5000  0.5000  0.2757  4 O 2.24
Bi  0.5000  0.5000  0.7243  4 O 2.24
Lu  0.0000  0.0000  0.0000  8 O 2.35
Cl  0.0000  0.0000  0.5000  8 Bi 3.40, 8 O 3.71


3.
MgSn8P4O18 | PBE | relaxed

Output
For the energy relative to the elements, the calculation gives -205 kJ per mole of atoms. As for the total energy: -6.379 eV/atom. For the density, the calculation gives 4.037 Mg/m³. Its energy above the most stable polymorph in this dataset is 17 meV per atom.

Unit cell a=11.2076 b=8.3669 c=7.0934 alpha=63.47 beta=77.79 gamma=94.52
Closest atoms and distances in Å follow each position.
Atoms (fractional coordinates):
O  0.2209  0.7881  0.6149  1 P 1.59
O  0.3109  0.8133  0.9751  1 P 1.57
O  0.7768  0.9357  0.7273  1 P 1.55
O  0.7699  0.2314  0.4089  1 P 1.54
O  0.6419  0.2158  0.9757  1 P 1.55
O  0.2448  0.0742  0.2471  1 P 1.54
O  0.7214  0.9350  0.3961  1 P 1.56
O  0.2957  0.0866  0.5776  1 P 1.59
O  0.5690  0.9948  0.6635  1 P 1.56
O  0.1535  0.3407  0.8528  3 Sn 2.12-2.16
O  0.0950  0.6551  0.1673  1 P 1.58
O  0.2617  0.5729  0.3833  1 P 1.51
O  0.8273  0.6859  0.1592  3 Sn 2.12-2.15
O  0.4360  0.9627  0.3558  1 P 1.52
O  0.2522  0.4773  0.0925  1 P 1.56
O  0.8780  0.2804  0.9022  1 P 1.55
O  0.7761  0.4715  0.6079  1 P 1.55
O  0.7503  0.5039  0.9505  1 P 1.57
Sn  0.4246  0.0962  0.7863  3 O 2.09-2.30
Sn  0.0340  0.2207  0.7286  2 O 2.14-2.16
Sn  0.8931  0.7440  0.8229  3 O 2.11-2.16
Sn  0.6097  0.9281  0.1835  3 O 2.14-2.18
Sn  0.0990  0.2397  0.1990  3 O 2.13-2.25
Sn  0.9477  0.8104  0.2725  2 O 2.13-2.38
Sn  0.6820  0.4570  0.3759  3 O 2.12-2.17
Sn  0.3163  0.5462  0.6730  3 O 2.12-2.28
P  0.7096  0.0269  0.5470  4 O 1.54-1.56
P  0.3037  0.9825  0.4361  4 O 1.52-1.59
P  0.7624  0.3660  0.8571  4 O 1.55-1.57
P  0.2325  0.6245  0.1673  4 O 1.51-1.58
Mg  0.1538  0.8680  0.8468  4 O 2.06-2.16


4.
Mn11Ge8 | PBE | relaxed

Output
For the energy relative to the elements, the calculation gives -10 kJ per mole of atoms. As for the total energy: -7.355 eV/atom. For the density, the calculation gives 7.735 Mg/m³.

Unit cell a=5.0044 b=12.9686 c=15.6856 alpha=90.00 beta=90.00 gamma=90.00
Closest atoms and distances in Å follow each position.
Atoms (fractional coordinates):
Ge  0.2500  0.0845  0.6961  8 Mn 2.48-2.66
Ge  0.2500  0.7259  0.0963  7 Mn 2.43-2.51
Ge  0.2500  0.5517  0.5632  6 Mn 2.43-2.65
Ge  0.7500  0.7741  0.5963  7 Mn 2.43-2.51
Ge  0.7500  0.4483  0.4368  6 Mn 2.43-2.65
Ge  0.7500  0.9483  0.0632  6 Mn 2.43-2.65
Ge  0.2500  0.2950  0.8045  8 Mn 2.46-2.66
Ge  0.2500  0.5090  0.2554  7 Mn 2.41-2.54
Ge  0.5033  0.2136  0.1121  7 Mn 2.44-2.62, 2 Ge 2.47-2.53
Ge  0.4967  0.2864  0.6121  7 Mn 2.44-2.62, 2 Ge 2.47-2.53
Ge  0.0033  0.7864  0.8879  7 Mn 2.44-2.62, 2 Ge 2.47-2.53
Ge  0.7500  0.2741  0.9037  7 Mn 2.43-2.51
Ge  0.7500  0.0560  0.5165  9 Mn 2.43-2.71
Ge  0.7500  0.7050  0.1955  8 Mn 2.46-2.66
Ge  0.2500  0.5845  0.8039  8 Mn 2.48-2.66
Ge  0.2500  0.2259  0.4037  7 Mn 2.43-2.51
Ge  0.2500  0.0517  0.9368  6 Mn 2.43-2.65
Ge  0.7500  0.9910  0.7554  7 Mn 2.41-2.54
Ge  0.7500  0.5560  0.9835  9 Mn 2.43-2.71
Ge  0.9967  0.2136  0.1121  7 Mn 2.44-2.62, 2 Ge 2.47-2.53
Ge  0.0033  0.2864  0.6121  7 Mn 2.44-2.62, 2 Ge 2.47-2.53
Ge  0.2500  0.4440  0.0165  9 Mn 2.43-2.71
Ge  0.4967  0.7864  0.8879  7 Mn 2.44-2.62, 2 Ge 2.47-2.53
Ge  0.9967  0.7136  0.3879  7 Mn 2.44-2.62, 2 Ge 2.47-2.53
Ge  0.5033  0.7136  0.3879  7 Mn 2.44-2.62, 2 Ge 2.47-2.53
Ge  0.2500  0.0090  0.2446  7 Mn 2.41-2.54
Ge  0.2500  0.9440  0.4835  9 Mn 2.43-2.71
Ge  0.7500  0.9155  0.3039  8 Mn 2.48-2.66
Ge  0.7500  0.4155  0.1961  8 Mn 2.48-2.66
Ge  0.7500  0.2050  0.3045  8 Mn 2.46-2.66
Ge  0.2500  0.7950  0.6955  8 Mn 2.46-2.66
Ge  0.7500  0.4910  0.7446  7 Mn 2.41-2.54
Mn  0.0012  0.5602  0.1208  2 Mn 2.49-2.51, 6 Ge 2.49-2.55
Mn  0.2500  0.6304  0.9583  7 Ge 2.49-2.71
Mn  0.2500  0.1304  0.5417  7 Ge 2.49-2.71
Mn  0.4988  0.5602  0.1208  2 Mn 2.49-2.51, 6 Ge 2.49-2.55
Mn  0.5073  0.1350  0.8245  2 Mn 2.43-2.57, 5 Ge 2.43-2.50
Mn  0.0073  0.8650  0.1755  2 Mn 2.43-2.57, 5 Ge 2.43-2.50
Mn  0.9988  0.9398  0.6208  2 Mn 2.49-2.51, 6 Ge 2.49-2.55
Mn  0.2500  0.9332  0.8057  7 Ge 2.49-2.73
Mn  0.4927  0.3650  0.3245  2 Mn 2.43-2.57, 5 Ge 2.43-2.50
Mn  0.7500  0.2480  0.4692  7 Ge 2.60-2.72
Mn  0.7500  0.8051  0.7522  6 Ge 2.41-2.66, 1 Mn 2.63
Mn  0.4988  0.0602  0.3792  2 Mn 2.49-2.51, 6 Ge 2.49-2.55
Mn  0.7500  0.6349  0.8429  6 Ge 2.42-2.66, 1 Mn 2.63
Mn  0.2500  0.1949  0.2478  6 Ge 2.41-2.66, 1 Mn 2.63
Mn  0.0073  0.3650  0.3245  2 Mn 2.43-2.57, 5 Ge 2.43-2.50
Mn  0.5073  0.6350  0.6755  2 Mn 2.43-2.57, 5 Ge 2.43-2.50
Mn  0.2500  0.8770  0.0052  4 Ge 2.43-2.51, 1 Mn 2.60
Mn  0.7500  0.9536  0.9064  4 Ge 2.42-2.53, 1 Mn 2.60
Mn  0.5012  0.4398  0.8792  2 Mn 2.49-2.51, 6 Ge 2.49-2.55
Mn  0.2500  0.0464  0.0936  4 Ge 2.42-2.53, 1 Mn 2.60
Mn  0.9927  0.1350  0.8245  2 Mn 2.43-2.57, 5 Ge 2.43-2.50
Mn  0.5012  0.9398  0.6208  2 Mn 2.49-2.51, 6 Ge 2.49-2.55
Mn  0.7500  0.3051  0.7478  6 Ge 2.41-2.66, 1 Mn 2.63
Mn  0.2500  0.6949  0.2522  6 Ge 2.41-2.66, 1 Mn 2.63
Mn  0.7500  0.6230  0.5052  4 Ge 2.43-2.51, 1 Mn 2.60
Mn  0.7500  0.4536  0.5936  4 Ge 2.42-2.53, 1 Mn 2.60
Mn  0.9927  0.6350  0.6755  2 Mn 2.43-2.57, 5 Ge 2.43-2.50
Mn  0.7500  0.0668  0.1943  7 Ge 2.49-2.73
Mn  0.2500  0.5464  0.4064  4 Ge 2.42-2.53, 1 Mn 2.60
Mn  0.2500  0.7520  0.5308  7 Ge 2.60-2.72
Mn  0.2500  0.8651  0.3429  6 Ge 2.42-2.66, 1 Mn 2.63
Mn  0.7500  0.8696  0.4583  7 Ge 2.49-2.71
Mn  0.0012  0.0602  0.3792  2 Mn 2.49-2.51, 6 Ge 2.49-2.55
Mn  0.9988  0.4398  0.8792  2 Mn 2.49-2.51, 6 Ge 2.49-2.55
Mn  0.2500  0.3770  0.4948  4 Ge 2.43-2.51, 1 Mn 2.60
Mn  0.2500  0.2520  0.9692  7 Ge 2.60-2.72
Mn  0.7500  0.1230  0.9948  4 Ge 2.43-2.51, 1 Mn 2.60
Mn  0.4927  0.8650  0.1755  2 Mn 2.43-2.57, 5 Ge 2.43-2.50
Mn  0.7500  0.7480  0.0308  7 Ge 2.60-2.72
Mn  0.2500  0.4332  0.6943  7 Ge 2.49-2.73
Mn  0.7500  0.3696  0.0417  7 Ge 2.49-2.71
Mn  0.7500  0.1349  0.6571  6 Ge 2.42-2.66, 1 Mn 2.63
Mn  0.7500  0.5668  0.3057  7 Ge 2.49-2.73
Mn  0.2500  0.3651  0.1571  6 Ge 2.42-2.66, 1 Mn 2.63


5.
TiIn4N4 | PBE | relaxed

Output
For the energy relative to the elements, the calculation gives -15 kJ per mole of atoms. As for the total energy: -5.802 eV/atom. For the density, the calculation gives 6.316 Mg/m³.

Unit cell a=6.3095 b=6.4257 c=8.9931 alpha=74.24 beta=85.56 gamma=57.86
Closest atoms and distances in Å follow each position.
Atoms (fractional coordinates):
Ti  0.2539  0.0897  0.2593  4 N 1.88-2.04
Ti  0.7461  0.9103  0.7407  4 N 1.88-2.04
In  0.2223  0.5546  0.4574  4 N 2.18-2.36
In  0.7777  0.4454  0.5426  4 N 2.18-2.36
In  0.7013  0.2331  0.9754  3 N 2.24-2.35
In  0.7702  0.0458  0.3650  2 N 2.18-2.19
In  0.2173  0.3377  0.8622  3 N 2.22-2.36
In  0.7827  0.6623  0.1378  3 N 2.22-2.36
In  0.2298  0.9542  0.6350  2 N 2.18-2.19
In  0.2987  0.7669  0.0246  3 N 2.24-2.35
N  0.5458  0.0719  0.1799  1 Ti 1.88
N  0.4542  0.9281  0.8201  1 Ti 1.88
N  0.0520  0.3882  0.3426  1 Ti 1.97
N  0.0563  0.1808  0.0586  1 Ti 2.04, 2 In 2.24
N  0.4104  0.7812  0.4464  1 Ti 2.02, 2 In 2.18-2.19
N  0.5896  0.2188  0.5536  1 Ti 2.02, 2 In 2.18-2.19
N  0.9480  0.6118  0.6574  1 Ti 1.97
N  0.9437  0.8192  0.9414  1 Ti 2.04, 2 In 2.24


6.
Hg3H6PtN2Cl8 | PBE | relaxed

Output
For the energy relative to the elements, the calculation gives -76 kJ per mole of atoms. As for the total energy: -3.482 eV/atom. For the density, the calculation gives 4.332 Mg/m³.

Unit cell a=10.2454 b=10.2454 c=13.2917 alpha=82.23 beta=82.23 gamma=38.23
Closest atoms and distances in Å follow each position.
Atoms (fractional coordinates):
Cl  0.8884  0.4135  0.5076  1 Hg 2.34
Cl  0.5328  0.9746  0.6496  1 Hg 2.33
Cl  0.4672  0.0254  0.3504  1 Hg 2.33
Cl  0.3493  0.7758  0.5334  1 Hg 2.35
Cl  0.9746  0.5328  0.1496  1 Hg 2.33
Cl  0.6507  0.2242  0.4666  1 Hg 2.35
Cl  0.9267  0.9079  0.7274  1 Pt 2.32
Cl  0.0254  0.4672  0.8504  1 Hg 2.33
Cl  0.9079  0.9267  0.2274  1 Pt 2.32
Cl  0.4135  0.8884  0.0076  1 Hg 2.34
Cl  0.5865  0.1116  0.9924  1 Hg 2.34
Cl  0.7758  0.3493  0.0334  1 Hg 2.35
Cl  0.0733  0.0921  0.2726  1 Pt 2.32
Cl  0.2242  0.6507  0.9666  1 Hg 2.35
Cl  0.1116  0.5865  0.4924  1 Hg 2.34
Cl  0.0921  0.0733  0.7726  1 Pt 2.32
N  0.5151  0.6362  0.2693  3 H 1.03
N  0.4849  0.3638  0.7307  3 H 1.03
N  0.3638  0.4849  0.2307  3 H 1.03
N  0.6362  0.5151  0.7693  3 H 1.03
H  0.5580  0.6180  0.7069  1 N 1.03
H  0.4420  0.3820  0.2931  1 N 1.03
H  0.4851  0.7553  0.2813  1 N 1.03
H  0.5149  0.2447  0.7187  1 N 1.03
H  0.5318  0.5913  0.8313  1 N 1.03
H  0.7553  0.4851  0.7813  1 N 1.03
H  0.2447  0.5149  0.2187  1 N 1.03
H  0.5913  0.5318  0.3313  1 N 1.03
H  0.6180  0.5580  0.2069  1 N 1.03
H  0.3820  0.4420  0.7931  1 N 1.03
H  0.4682  0.4087  0.1687  1 N 1.03
H  0.4087  0.4682  0.6687  1 N 1.03
Pt  0.2294  0.7706  0.2500  2 N 2.08, 2 Cl 2.32
Pt  0.7706  0.2294  0.7500  2 N 2.08, 2 Cl 2.32
Hg  0.1834  0.2129  0.0798  2 Cl 2.33-2.34
Hg  0.2129  0.1834  0.5798  2 Cl 2.33-2.34
Hg  0.0000  0.0000  0.0000  2 Cl 2.35
Hg  0.7871  0.8166  0.4202  2 Cl 2.33-2.34
Hg  0.8166  0.7871  0.9202  2 Cl 2.33-2.34
Hg  0.0000  0.0000  0.5000  2 Cl 2.35